UFe2P2 GGA-PBE relaxed; E_form = -0.793 eV/atom; total energy = -43.02 eV/cell
1.0
-1.901 1.901 4.670
1.901 -1.901 4.670
1.901 1.901 -4.670
U Fe P
1 2 2
direct
0.000 0.000 0.000
0.250 0.750 0.500
0.750 0.250 0.500
0.376 0.376 0.000
0.624 0.624 0.000


U6Fe30P19 GGA-PBE relaxed; E_form = -0.720 eV/atom; total energy = -464.28 eV/cell
1.0
14.629 0.000 0.000
0.000 3.599 0.000
-7.312 0.000 12.672
U Fe P
6 30 19
direct
0.000 0.000 0.000
0.098 0.500 0.705
0.294 0.500 0.395
0.493 0.000 0.806
0.687 0.000 0.493
0.788 0.500 0.198
0.045 0.500 0.324
0.121 0.000 0.869
0.129 0.000 0.252
0.162 0.500 0.138
0.169 0.500 0.527
0.241 0.000 0.683
0.256 0.000 0.070
0.267 0.500 0.940
0.317 0.000 0.559
0.355 0.500 0.830
0.360 0.500 0.226
0.422 0.000 0.991
0.436 0.000 0.372
0.469 0.500 0.640
0.502 0.000 0.238
0.547 0.500 0.518
0.553 0.500 0.133
0.618 0.000 0.673
0.624 0.000 0.057
0.657 0.500 0.945
0.663 0.500 0.331
0.743 0.000 0.875
0.809 0.000 0.363
0.820 0.000 0.750
0.853 0.500 0.634
0.858 0.500 0.024
0.929 0.000 0.175
0.934 0.000 0.564
0.966 0.500 0.448
0.975 0.500 0.835
0.022 0.500 0.162
0.076 0.000 0.545
0.138 0.500 0.974
0.156 0.000 0.416
0.264 0.000 0.846
0.269 0.000 0.229
0.330 0.500 0.665
0.394 0.500 0.100
0.457 0.000 0.535
0.519 0.500 0.970
0.523 0.500 0.354
0.630 0.500 0.782
0.647 0.000 0.224
0.711 0.500 0.654
0.765 0.000 0.036
0.828 0.500 0.471
0.839 0.500 0.863
0.947 0.000 0.337
0.958 0.000 0.728


Fe2P12W GGA-PBE relaxed; E_form = -0.349 eV/atom; total energy = -400.35 eV/cell
1.0
13.760 0.000 0.000
0.000 5.686 0.000
0.000 0.000 11.122
Fe P W
8 48 4
direct
0.150 0.104 0.041
0.150 0.896 0.541
0.350 0.396 0.541
0.350 0.604 0.041
0.650 0.396 0.959
0.650 0.604 0.459
0.850 0.104 0.459
0.850 0.896 0.959
0.009 0.256 0.102
0.009 0.744 0.602
0.087 0.062 0.856
0.087 0.938 0.356
0.092 0.265 0.561
0.092 0.735 0.061
0.168 0.483 0.304
0.168 0.517 0.804
0.189 0.119 0.229
0.189 0.881 0.729
0.203 0.467 0.000
0.203 0.533 0.500
0.297 0.033 0.500
0.297 0.967 0.000
0.311 0.381 0.729
0.311 0.619 0.229
0.332 0.017 0.804
0.332 0.983 0.304
0.408 0.235 0.061
0.408 0.765 0.561
0.413 0.438 0.356
0.413 0.562 0.856
0.491 0.244 0.602
0.491 0.756 0.102
0.509 0.244 0.898
0.509 0.756 0.398
0.587 0.438 0.144
0.587 0.562 0.644
0.592 0.235 0.439
0.592 0.765 0.939
0.668 0.017 0.696
0.668 0.983 0.196
0.689 0.381 0.771
0.689 0.619 0.271
0.703 0.033 0.000
0.703 0.967 0.500
0.797 0.467 0.500
0.797 0.533 0.000
0.811 0.119 0.271
0.811 0.881 0.771
0.832 0.483 0.196
0.832 0.517 0.696
0.908 0.265 0.939
0.908 0.735 0.439
0.913 0.062 0.644
0.913 0.938 0.144
0.991 0.256 0.398
0.991 0.744 0.898
0.000 0.399 0.750
0.000 0.601 0.250
0.500 0.101 0.250
0.500 0.899 0.750


Zr2Fe12P7 GGA-PBE relaxed; E_form = -0.736 eV/atom; total energy = -172.09 eV/cell
1.0
8.844 0.000 0.000
-4.422 7.659 0.000
0.000 0.000 3.596
Zr Fe P
2 12 7
direct
0.000 0.000 0.000
0.333 0.667 0.500
0.051 0.770 0.500
0.096 0.395 0.000
0.230 0.281 0.500
0.298 0.904 0.000
0.391 0.213 0.000
0.547 0.117 0.500
0.570 0.453 0.500
0.605 0.702 0.000
0.719 0.949 0.500
0.787 0.178 0.000
0.822 0.609 0.000
0.883 0.430 0.500
0.080 0.632 0.000
0.263 0.044 0.500
0.368 0.448 0.000
0.552 0.920 0.000
0.667 0.333 0.000
0.781 0.737 0.500
0.956 0.219 0.500


ZrFeP GGA-PBE relaxed; E_form = -1.052 eV/atom; total energy = -102.35 eV/cell
1.0
6.332 0.000 0.000
0.000 3.762 0.000
0.000 0.000 7.088
Zr Fe P
4 4 4
direct
0.015 0.250 0.185
0.485 0.750 0.685
0.515 0.250 0.315
0.985 0.750 0.815
0.146 0.250 0.562
0.354 0.750 0.062
0.646 0.250 0.938
0.854 0.750 0.438
0.216 0.750 0.388
0.284 0.250 0.888
0.716 0.750 0.112
0.784 0.250 0.612


Sm6Fe13Pb GGA-PBE relaxed; E_form = -0.088 eV/atom; total energy = -287.80 eV/cell
1.0
-4.013 4.013 11.665
4.013 -4.013 11.665
4.013 4.013 -11.665
Sm Fe Pb
12 26 2
direct
0.022 0.522 0.176
0.103 0.103 0.000
0.154 0.978 0.500
0.346 0.846 0.824
0.397 0.397 0.000
0.478 0.654 0.500
0.522 0.346 0.500
0.603 0.603 0.000
0.654 0.154 0.176
0.846 0.022 0.500
0.897 0.897 0.000
0.978 0.478 0.824
0.000 0.500 0.500
0.019 0.292 0.500
0.066 0.209 0.275
0.120 0.620 0.858
0.208 0.481 0.500
0.209 0.934 0.143
0.239 0.739 0.858
0.261 0.120 0.500
0.291 0.434 0.725
0.292 0.792 0.273
0.380 0.239 0.500
0.434 0.709 0.143
0.481 0.981 0.273
0.500 0.000 0.500
0.519 0.019 0.727
0.566 0.291 0.857
0.620 0.761 0.500
0.708 0.208 0.727
0.709 0.566 0.275
0.739 0.880 0.500
0.761 0.261 0.142
0.791 0.066 0.857
0.792 0.519 0.500
0.880 0.380 0.142
0.934 0.791 0.725
0.981 0.708 0.500
0.250 0.250 0.000
0.750 0.750 0.000


Tm12Fe2Pb3 GGA-PBE relaxed; E_form = -0.230 eV/atom; total energy = -85.69 eV/cell
1.0
-4.794 4.794 4.928
4.794 -4.794 4.928
4.794 4.794 -4.928
Tm Fe Pb
12 2 3
direct
0.030 0.785 0.245
0.215 0.460 0.245
0.215 0.970 0.755
0.305 0.305 0.610
0.305 0.695 0.000
0.460 0.215 0.245
0.540 0.785 0.755
0.695 0.305 0.000
0.695 0.695 0.390
0.785 0.030 0.245
0.785 0.540 0.755
0.970 0.215 0.755
0.389 0.389 0.000
0.611 0.611 0.000
0.000 0.000 0.000
0.000 0.500 0.500
0.500 0.000 0.500


FePbW2 GGA-PBE relaxed; E_form = 0.852 eV/atom; total energy = -34.69 eV/cell
1.0
0.000 3.207 3.207
3.207 0.000 3.207
3.207 3.207 0.000
Fe Pb W
1 1 2
direct
0.000 0.000 0.000
0.250 0.250 0.250
0.500 0.500 0.500
0.750 0.750 0.750